[1]
# Rb2TiOF5 (GGA-PBE, optimized geometry)
# - Raw total energy: -190.71 eV/cell
# - Energy of formation: -26.3 eV per formula unit
# - Calculated volume: 709.9 Å³/cell
data_Rb2TiOF5
_chemical_formula_sum 'Rb8 Ti4 O4 F20'
_space_group_name_H-M_alt 'C m c m'
_space_group_IT_number 63
_space_group_name_Hall '-C 2c 2'
_cell_length_a 9.902
_cell_length_b 8.883
_cell_length_c 8.071
_cell_angle_alpha 90.00
_cell_angle_beta 90.00
_cell_angle_gamma 90.00
loop_
_atom_site_label
_atom_site_type_symbol
_atom_site_fract_x
_atom_site_fract_y
_atom_site_fract_z
Rb1 Rb 0.214 0.205 0.250
Ti1 Ti 0.000 0.500 0.000
O1 O 0.000 0.022 0.750
F1 F 0.000 0.291 0.002
F2 F 0.000 0.497 0.250
F3 F 0.192 0.500 0.000

=====

[2]
# RbTiZnOF5 (GGA-PBE, optimized geometry)
# - Raw total energy: -201.50 eV/cell
# - Energy of formation: -28.7 eV per formula unit
# - Calculated volume: 569.6 Å³/cell
data_RbTiZnOF5
_chemical_formula_sum 'Rb4 Ti4 Zn4 O4 F20'
_space_group_name_H-M_alt 'I m m a'
_space_group_IT_number 74
_space_group_name_Hall '-I 2b 2'
_cell_length_a 7.292
_cell_length_b 7.324
_cell_length_c 10.665
_cell_angle_alpha 90.00
_cell_angle_beta 90.00
_cell_angle_gamma 90.00
loop_
_atom_site_label
_atom_site_type_symbol
_atom_site_fract_x
_atom_site_fract_y
_atom_site_fract_z
Rb1 Rb 0.000 0.250 0.125
Ti1 Ti 0.250 0.250 0.750
Zn1 Zn 0.000 0.000 0.500
O1 O 0.000 0.250 0.784
F1 F 0.000 0.250 0.425
F2 F 0.216 0.059 0.624

=====

[3]
# Rb2U3O10F8 (GGA-PBE, optimized geometry)
# - Raw total energy: -598.91 eV/cell
# - Energy of formation: -59.7 eV per formula unit
# - Calculated volume: 1662.5 Å³/cell
data_Rb2U3O10F8
_chemical_formula_sum 'Rb8 U12 O40 F32'
_space_group_name_H-M_alt 'A m a 2'
_space_group_IT_number 40
_cell_length_a 13.444
_cell_length_b 14.542
_cell_length_c 8.504
_cell_angle_alpha 90.00
_cell_angle_beta 90.00
_cell_angle_gamma 90.00
loop_
_space_group_symop_operation_xyz
'x,y,z'
'-x,-y,z'
'-x+1/2,y,z'
'x+1/2,-y,z'
'x,y+1/2,z+1/2'
'-x,-y+1/2,z+1/2'
'-x+1/2,y+1/2,z+1/2'
'x+1/2,-y+1/2,z+1/2'
loop_
_atom_site_label
_atom_site_type_symbol
_atom_site_fract_x
_atom_site_fract_y
_atom_site_fract_z
Rb1 Rb 0.250 0.004 0.000
Rb2 Rb 0.250 0.376 0.935
U1 U 0.000 0.000 0.671
U2 U 0.023 0.296 0.563
O1 O 0.000 0.000 0.384
O2 O 0.094 0.152 0.121
O3 O 0.128 0.039 0.666
O4 O 0.135 0.241 0.492
O5 O 0.250 0.088 0.351
O6 O 0.250 0.180 0.822
O7 O 0.250 0.327 0.292
F1 F 0.047 0.238 0.816
F2 F 0.048 0.359 0.071
F3 F 0.050 0.419 0.387
F4 F 0.117 0.396 0.684

=====

[4]
# ReOF4 (GGA-PBE, optimized geometry)
# - Raw total energy: -593.90 eV/cell
# - Energy of formation: -14.6 eV per formula unit
# - Calculated volume: 1488.2 Å³/cell
data_ReOF4
_chemical_formula_sum 'Re16 O16 F64'
_space_group_name_H-M_alt 'C 1 2/c 1'
_space_group_IT_number 15
_cell_length_a 19.248
_cell_length_b 5.667
_cell_length_c 14.900
_cell_angle_alpha 90.00
_cell_angle_beta 113.70
_cell_angle_gamma 90.00
loop_
_space_group_symop_operation_xyz
'x,y,z'
'-x,-y,-z'
'-x,y,-z+1/2'
'x,-y,z+1/2'
'x+1/2,y+1/2,z'
'-x+1/2,-y+1/2,-z'
'-x+1/2,y+1/2,-z+1/2'
'x+1/2,-y+1/2,z+1/2'
loop_
_atom_site_label
_atom_site_type_symbol
_atom_site_fract_x
_atom_site_fract_y
_atom_site_fract_z
Re1 Re 0.111 0.084 0.181
Re2 Re 0.134 0.411 0.889
O1 O 0.132 0.126 0.617
O2 O 0.174 0.390 0.478
F1 F 0.006 0.138 0.111
F2 F 0.038 0.356 0.889
F3 F 0.081 0.118 0.768
F4 F 0.083 0.372 0.278
F5 F 0.128 0.359 0.122
F6 F 0.168 0.129 0.960
F7 F 0.205 0.131 0.288
F8 F 0.206 0.365 0.834

=====

[5]
# Re3S4O8F (GGA-PBE, optimized geometry)
# - Raw total energy: -394.51 eV/cell
# - Energy of formation: -5.7 eV per formula unit
# - Calculated volume: 1347.7 Å³/cell
data_Re3S4O8F
_chemical_formula_sum 'Re12 S16 O32 F4'
_space_group_name_H-M_alt 'C 1 2 1'
_space_group_IT_number 5
_cell_length_a 10.982
_cell_length_b 14.652
_cell_length_c 9.176
_cell_angle_alpha 90.00
_cell_angle_beta 114.11
_cell_angle_gamma 90.00
loop_
_space_group_symop_operation_xyz
'x,y,z'
'-x,y,-z'
'x+1/2,y+1/2,z'
'-x+1/2,y+1/2,-z'
loop_
_atom_site_label
_atom_site_type_symbol
_atom_site_fract_x
_atom_site_fract_y
_atom_site_fract_z
Re1 Re 0.059 0.000 0.259
Re2 Re 0.130 0.080 0.042
Re3 Re 0.171 0.896 0.069
S1 S 0.023 0.843 0.177
S2 S 0.024 0.159 0.193
S3 S 0.185 0.991 0.864
S4 S 0.215 0.504 0.723
O1 O 0.030 0.581 0.073
O2 O 0.031 0.434 0.074
O3 O 0.114 0.015 0.464
O4 O 0.160 0.768 0.540
O5 O 0.163 0.283 0.519
O6 O 0.188 0.330 0.880
O7 O 0.204 0.672 0.396
O8 O 0.229 0.312 0.434
F1 F 0.235 0.677 0.908

=====

[6]
# ReSbOF9 (GGA-PBE, optimized geometry)
# - Raw total energy: -256.22 eV/cell
# - Energy of formation: -30.1 eV per formula unit
# - Calculated volume: 776.4 Å³/cell
data_ReSbOF9
_chemical_formula_sum 'Re4 Sb4 O4 F36'
_space_group_name_H-M_alt 'P 1 21/c 1'
_space_group_IT_number 14
_cell_length_a 5.785
_cell_length_b 10.480
_cell_length_c 12.978
_cell_angle_alpha 90.00
_cell_angle_beta 99.29
_cell_angle_gamma 90.00
loop_
_space_group_symop_operation_xyz
'x,y,z'
'-x,-y,-z'
'-x,y+1/2,-z+1/2'
'x,-y+1/2,z+1/2'
loop_
_atom_site_label
_atom_site_type_symbol
_atom_site_fract_x
_atom_site_fract_y
_atom_site_fract_z
Re1 Re 0.176 0.024 0.297
Sb1 Sb 0.483 0.745 0.502
O1 O 0.018 0.152 0.253
F1 F 0.033 0.071 0.637
F2 F 0.117 0.587 0.683
F3 F 0.240 0.670 0.055
F4 F 0.250 0.194 0.054
F5 F 0.296 0.607 0.445
F6 F 0.307 0.096 0.441
F7 F 0.403 0.173 0.866
F8 F 0.406 0.646 0.877
F9 F 0.475 0.054 0.263

=====

[7]
# Re3Se4O8F (GGA-PBE, optimized geometry)
# - Raw total energy: -395.79 eV/cell
# - Energy of formation: -7.9 eV per formula unit
# - Calculated volume: 1498.8 Å³/cell
data_Re3Se4O8F
_chemical_formula_sum 'Re12 Se16 O32 F4'
_space_group_name_H-M_alt 'C 1 2 1'
_space_group_IT_number 5
_cell_length_a 11.472
_cell_length_b 15.078
_cell_length_c 9.449
_cell_angle_alpha 90.00
_cell_angle_beta 113.50
_cell_angle_gamma 90.00
loop_
_space_group_symop_operation_xyz
'x,y,z'
'-x,y,-z'
'x+1/2,y+1/2,z'
'-x+1/2,y+1/2,-z'
loop_
_atom_site_label
_atom_site_type_symbol
_atom_site_fract_x
_atom_site_fract_y
_atom_site_fract_z
Re1 Re 0.058 0.000 0.254
Re2 Re 0.125 0.080 0.041
Re3 Re 0.168 0.900 0.072
Se1 Se 0.018 0.839 0.179
Se2 Se 0.022 0.164 0.196
Se3 Se 0.188 0.991 0.858
Se4 Se 0.209 0.510 0.720
O1 O 0.017 0.548 0.122
O2 O 0.018 0.466 0.120
O3 O 0.115 0.014 0.453
O4 O 0.127 0.705 0.508
O5 O 0.131 0.306 0.510
O6 O 0.164 0.659 0.426
O7 O 0.173 0.351 0.431
O8 O 0.199 0.334 0.873
F1 F 0.247 0.677 0.918

=====

[8]
# ReTe5O6F25 (GGA-PBE, optimized geometry)
# - Raw total energy: -688.94 eV/cell
# - Energy of formation: -82.2 eV per formula unit
# - Calculated volume: 2341.6 Å³/cell
data_ReTe5O6F25
_chemical_formula_sum 'Re4 Te20 O24 F100'
_space_group_name_H-M_alt 'P 1 21/c 1'
_space_group_IT_number 14
_cell_length_a 9.184
_cell_length_b 18.683
_cell_length_c 14.306
_cell_angle_alpha 90.00
_cell_angle_beta 107.46
_cell_angle_gamma 90.00
loop_
_space_group_symop_operation_xyz
'x,y,z'
'-x,-y,-z'
'-x,y+1/2,-z+1/2'
'x,-y+1/2,z+1/2'
loop_
_atom_site_label
_atom_site_type_symbol
_atom_site_fract_x
_atom_site_fract_y
_atom_site_fract_z
Re1 Re 0.087 0.037 0.191
Te1 Te 0.048 0.115 0.422
Te2 Te 0.178 0.674 0.450
Te3 Te 0.244 0.075 0.848
Te4 Te 0.350 0.590 0.845
Te5 Te 0.418 0.160 0.243
O1 O 0.011 0.608 0.404
O2 O 0.069 0.107 0.294
O3 O 0.100 0.526 0.607
O4 O 0.111 0.506 0.304
O5 O 0.182 0.524 0.801
O6 O 0.280 0.080 0.198
F1 F 0.030 0.121 0.548
F2 F 0.048 0.750 0.397
F3 F 0.067 0.531 0.097
F4 F 0.078 0.138 0.809
F5 F 0.130 0.682 0.567
F6 F 0.133 0.668 0.124
F7 F 0.157 0.202 0.444
F8 F 0.218 0.070 0.973
F9 F 0.222 0.668 0.799
F10 F 0.230 0.064 0.477
F11 F 0.230 0.666 0.333
F12 F 0.255 0.224 0.218
F13 F 0.271 0.082 0.724
F14 F 0.309 0.597 0.501
F15 F 0.312 0.596 0.966
F16 F 0.340 0.738 0.497
F17 F 0.376 0.153 0.890
F18 F 0.392 0.584 0.725
F19 F 0.411 0.013 0.888
F20 F 0.413 0.149 0.372
F21 F 0.420 0.595 0.233
F22 F 0.424 0.172 0.114
F23 F 0.446 0.736 0.218
F24 F 0.481 0.512 0.890
F25 F 0.486 0.153 0.610

=====

Question: Look up the calculated volume of the second one.
Answer: 569.6 Å³/cell

=====

What did the fifth record say?
# Re3S4O8F (GGA-PBE, optimized geometry)
# - Raw total energy: -394.51 eV/cell
# - Energy of formation: -5.7 eV per formula unit
# - Calculated volume: 1347.7 Å³/cell
data_Re3S4O8F
_chemical_formula_sum 'Re12 S16 O32 F4'
_space_group_name_H-M_alt 'C 1 2 1'
_space_group_IT_number 5
_cell_length_a 10.982
_cell_length_b 14.652
_cell_length_c 9.176
_cell_angle_alpha 90.00
_cell_angle_beta 114.11
_cell_angle_gamma 90.00
loop_
_space_group_symop_operation_xyz
'x,y,z'
'-x,y,-z'
'x+1/2,y+1/2,z'
'-x+1/2,y+1/2,-z'
loop_
_atom_site_label
_atom_site_type_symbol
_atom_site_fract_x
_atom_site_fract_y
_atom_site_fract_z
Re1 Re 0.059 0.000 0.259
Re2 Re 0.130 0.080 0.042
Re3 Re 0.171 0.896 0.069
S1 S 0.023 0.843 0.177
S2 S 0.024 0.159 0.193
S3 S 0.185 0.991 0.864
S4 S 0.215 0.504 0.723
O1 O 0.030 0.581 0.073
O2 O 0.031 0.434 0.074
O3 O 0.114 0.015 0.464
O4 O 0.160 0.768 0.540
O5 O 0.163 0.283 0.519
O6 O 0.188 0.330 0.880
O7 O 0.204 0.672 0.396
O8 O 0.229 0.312 0.434
F1 F 0.235 0.677 0.908